## Nb2VSe4 (GGA-PBE)

Data for crystalline Nb2VSe4 at its relaxed geometry.

Its total energy is -48.973 eV for the cell shown. The value obtained for the formation energy is -1.08 eV per atom. As for the space-group type: C2/m.

Cell: 7.117 7.117 6.380 Å, 114.94 114.94 28.65°
Positions (direct):
Nb 0.244 0.244 0.178
Nb 0.756 0.756 0.822
V 0.500 0.500 0.500
Se 0.136 0.136 0.474
Se 0.400 0.400 0.056
Se 0.600 0.600 0.944
Se 0.864 0.864 0.526